RbAgF3 PBE relaxed; density = 5.33 Mg/m³; energy of formation from the pure elements = -2.017 eV per atom; symmetry = No. 65
1.0
2.628 -3.398 0.000
2.628 3.398 0.000
0.000 0.000 4.364
Rb Ag F
1 1 3
Direct
0.000 0.000 0.000
0.500 0.500 0.500
0.000 0.500 0.500
0.500 0.000 0.500
0.500 0.500 0.000